# Ca11Bi10

A relaxed Ca11Bi10 crystal (r²SCAN, Materials Project).

Crystal system: monoclinic
Electronic total energy, eV per formula unit: -682.30
ΔH_f (0 K), meV/atom: -946
Space group: C2/m (12)

a b c (Å): 12.328 12.328 12.440
angles (deg): 119.66 119.66 89.99
Fractional coordinates of all 42 atoms:
Ca (0.055, 0.397, 0.793)
Ca (0.061, 0.810, 0.620)
Ca (0.162, 0.162, 0.000)
Ca (0.162, 0.838, 0.000)
Ca (0.190, 0.441, 0.380)
Ca (0.190, 0.939, 0.380)
Ca (0.262, 0.603, 0.207)
Ca (0.336, 0.336, 0.671)
Ca (0.397, 0.055, 0.793)
Ca (0.397, 0.738, 0.793)
Ca (0.441, 0.190, 0.380)
Ca (0.559, 0.810, 0.620)
Ca (0.603, 0.262, 0.207)
Ca (0.603, 0.945, 0.207)
Ca (0.664, 0.664, 0.329)
Ca (0.738, 0.397, 0.793)
Ca (0.810, 0.061, 0.620)
Ca (0.810, 0.559, 0.620)
Ca (0.838, 0.162, 0.000)
Ca (0.838, 0.838, 0.000)
Ca (0.939, 0.190, 0.380)
Ca (0.945, 0.603, 0.207)
Bi (0.000, 0.347, 0.000)
Bi (0.000, 0.653, 0.000)
Bi (0.123, 0.123, 0.654)
Bi (0.123, 0.532, 0.654)
Bi (0.129, 0.129, 0.258)
Bi (0.250, 0.750, 0.500)
Bi (0.347, 0.000, 0.000)
Bi (0.369, 0.369, 0.998)
Bi (0.370, 0.630, 0.000)
Bi (0.468, 0.877, 0.346)
Bi (0.469, 0.469, 0.346)
Bi (0.531, 0.531, 0.654)
Bi (0.532, 0.123, 0.654)
Bi (0.630, 0.370, 0.000)
Bi (0.631, 0.631, 0.002)
Bi (0.653, 0.000, 0.000)
Bi (0.750, 0.250, 0.500)
Bi (0.871, 0.871, 0.742)
Bi (0.877, 0.468, 0.346)
Bi (0.877, 0.877, 0.346)